1.
First-principles (PBE with a Hubbard U) data for crystalline V2NiH4O8 at its relaxed geometry, as listed in the Materials Project database.

Computed properties:
As for the crystal system: orthorhombic. The calculation puts the energy of formation from the pure elements at -1771 meV per atom. Its MP2020-corrected energy is -0.5080 Ry per atom.

Geometry as extended XYZ:
```
60
Lattice="5.650 0.000 0.000 0.000 10.789 0.000 0.000 0.000 11.960" Properties=species:S:1:pos:R:3 pbc="T T T"
V 1.117 0.342 2.086
V 1.117 5.053 2.086
V 1.707 5.736 8.067
V 1.707 10.447 8.067
V 3.942 0.342 3.894
V 3.942 5.053 3.894
V 4.532 5.736 9.874
V 4.532 10.447 9.874
Ni 0.115 8.092 0.491
Ni 2.710 2.697 6.471
Ni 2.940 8.092 5.489
Ni 5.535 2.697 11.470
H 0.337 8.092 4.955
H 0.731 1.918 4.877
H 0.731 3.477 4.877
H 1.070 8.092 3.514
H 1.755 2.697 9.494
H 2.094 7.312 10.857
H 2.094 8.871 10.857
H 2.488 2.697 10.935
H 3.161 8.092 1.025
H 3.556 1.918 1.103
H 3.556 3.477 1.103
H 3.895 8.092 2.466
H 4.580 2.697 8.447
H 4.919 7.312 7.084
H 4.919 8.871 7.084
H 5.313 2.697 7.005
O 0.035 0.781 3.498
O 0.035 4.613 3.498
O 0.652 1.239 0.763
O 0.652 4.155 0.763
O 0.902 2.697 5.457
O 0.949 6.695 1.759
O 0.949 9.488 1.759
O 1.193 8.092 4.485
O 1.632 2.697 10.466
O 1.876 1.300 7.740
O 1.876 4.094 7.740
O 1.923 8.092 11.437
O 2.173 6.634 6.743
O 2.173 9.550 6.743
O 2.790 6.176 9.478
O 2.790 10.008 9.478
O 2.860 0.781 2.482
O 2.860 4.613 2.482
O 3.477 1.239 5.218
O 3.477 4.155 5.218
O 3.727 2.697 0.523
O 3.774 6.695 4.221
O 3.774 9.488 4.221
O 4.018 8.092 1.495
O 4.456 2.697 7.475
O 4.701 1.300 10.201
O 4.701 4.094 10.201
O 4.748 8.092 6.504
O 4.997 6.634 11.198
O 4.997 9.550 11.198
O 5.615 6.176 8.463
O 5.615 10.008 8.463
```

---

2.
First-principles (PBE with a Hubbard U) data for crystalline V2NiH8O10 at its relaxed geometry, as listed in the Materials Project database.

Computed properties:
As for the crystal system: monoclinic. The calculation puts the energy of formation from the pure elements at -1606 meV per atom. Its MP2020-corrected energy is -0.4701 Ry per atom.

Geometry as extended XYZ:
```
42
Lattice="6.795 -4.912 0.000 6.795 4.912 0.000 -2.520 0.000 6.447" Properties=species:S:1:pos:R:3 pbc="T T T"
V 0.932 0.293 1.250
V -0.328 -0.293 4.474
V 11.397 0.293 1.974
V 10.137 -0.293 5.197
Ni 3.397 2.456 0.000
Ni 2.137 -2.456 3.224
H 3.442 1.818 4.355
H 2.789 0.739 3.440
H 4.328 1.485 2.252
H 5.086 0.783 1.057
H 4.049 -0.739 0.216
H 6.367 1.818 5.316
H 8.001 1.485 0.971
H 3.826 -0.783 4.281
H 7.244 0.783 2.167
H 3.068 -1.485 5.476
H 4.702 -1.818 1.132
H 7.021 0.739 6.232
H 5.984 -0.783 5.390
H 6.741 -1.485 4.195
H 8.281 -0.739 3.008
H 7.627 -1.818 2.092
O -0.274 0.463 2.736
O 2.597 3.114 5.351
O -1.533 -0.463 5.960
O 0.773 0.711 5.291
O 4.697 1.642 1.333
O 3.662 1.079 3.733
O 2.033 -0.711 2.068
O 7.213 3.114 4.320
O 7.633 1.642 1.891
O 4.922 -1.079 0.510
O 6.147 1.079 5.938
O 3.437 -1.642 4.556
O 3.857 -3.114 2.127
O 9.037 0.711 4.380
O 7.407 -1.079 2.714
O 6.373 -1.642 5.115
O 10.297 -0.711 1.156
O 12.603 0.463 0.488
O 8.473 -3.114 1.097
O 11.343 -0.463 3.712
```

---

3.
First-principles (PBE with a Hubbard U) data for crystalline V2NiH8O10 at its relaxed geometry, as listed in the Materials Project database.

Computed properties:
As for the crystal system: triclinic. The calculation puts the energy of formation from the pure elements at -1075 meV per atom. Its MP2020-corrected energy is -0.4310 Ry per atom.

Geometry as extended XYZ:
```
42
Lattice="7.127 0.000 0.000 2.573 7.949 0.000 2.609 1.199 7.886" Properties=species:S:1:pos:R:3 pbc="T T T"
V 3.439 3.421 3.393
V 5.317 5.259 5.084
V 6.993 3.889 2.802
V 8.871 5.727 4.494
Ni 1.304 0.600 3.943
Ni 4.850 3.974 0.000
H 2.445 5.115 0.315
H 5.360 7.648 5.809
H 1.828 1.243 0.560
H 4.776 2.780 7.866
H 4.032 0.988 6.322
H 6.891 8.419 6.787
H 3.463 2.126 1.328
H 6.303 7.795 2.911
H 6.006 1.352 4.975
H 8.847 7.022 6.558
H 5.419 0.728 1.099
H 8.277 8.160 1.565
H 7.533 6.368 0.020
H 10.482 7.905 7.326
H 6.949 1.499 2.077
H 9.865 4.032 7.572
O 3.371 4.841 4.805
O 2.853 5.988 0.515
O 4.931 7.167 5.072
O 3.024 1.969 4.033
O 4.506 7.686 2.286
O 4.228 5.734 0.597
O 5.758 4.900 6.656
O 3.764 3.023 1.604
O 5.881 7.829 2.019
O 5.257 3.736 3.775
O 7.052 5.412 4.112
O 6.428 1.319 5.868
O 8.546 6.125 6.283
O 6.551 4.248 1.230
O 8.082 3.414 7.289
O 7.804 1.462 5.600
O 9.285 7.178 3.854
O 7.379 1.981 2.815
O 9.457 3.159 7.371
O 8.939 4.307 3.081
```

---

4.
First-principles (PBE with a Hubbard U) data for crystalline V2NiH8O10 at its relaxed geometry, as listed in the Materials Project database.

Computed properties:
As for the crystal system: monoclinic. The calculation puts the energy of formation from the pure elements at -1157 meV per atom. Its MP2020-corrected energy is -0.4370 Ry per atom.

Geometry as extended XYZ:
```
42
Lattice="6.561 -4.580 0.000 6.561 4.580 0.000 -2.726 0.000 6.623" Properties=species:S:1:pos:R:3 pbc="T T T"
V 0.898 0.075 1.370
V -0.465 -0.075 4.681
V 10.861 0.075 1.941
V 9.498 -0.075 5.252
Ni 3.280 2.290 0.000
Ni 1.917 -2.290 3.311
H 4.045 2.340 3.458
H 3.017 0.266 2.654
H 3.022 0.593 4.565
H 4.988 2.340 6.476
H 3.591 0.831 4.984
H 1.654 -0.266 5.965
H 4.385 -0.593 1.254
H 5.442 0.831 4.950
H 4.954 -0.831 1.672
H 6.011 0.593 5.369
H 8.742 0.266 0.657
H 6.805 -0.831 1.639
H 5.408 -2.340 0.147
H 7.374 -0.593 2.058
H 7.379 -0.266 3.969
H 6.351 -2.340 3.164
O 2.157 3.066 5.557
O -0.330 0.476 2.803
O 4.503 2.627 1.649
O -1.693 -0.476 6.114
O 0.961 0.428 5.821
O 4.198 1.700 2.713
O 2.324 -0.428 2.510
O 7.255 2.627 1.662
O 6.876 3.066 4.377
O 7.561 1.700 0.599
O 2.835 -1.700 6.024
O 3.520 -3.066 2.246
O 3.140 -2.627 4.960
O 8.072 0.428 4.113
O 6.198 -1.700 3.910
O 9.435 -0.428 0.802
O 12.089 0.476 0.508
O 5.892 -2.627 4.974
O 10.726 -0.476 3.820
O 8.239 -3.066 1.065
```

---

5.
First-principles (PBE with a Hubbard U) data for crystalline V2NiH8O10 at its relaxed geometry, as listed in the Materials Project database.

Computed properties:
As for the crystal system: monoclinic. The calculation puts the energy of formation from the pure elements at -1104 meV per atom. Its MP2020-corrected energy is -0.4331 Ry per atom.

Geometry as extended XYZ:
```
42
Lattice="6.606 -5.221 0.000 6.606 5.221 0.000 -2.751 0.000 6.476" Properties=species:S:1:pos:R:3 pbc="T T T"
V 0.858 0.346 1.295
V -0.518 -0.346 4.532
V 10.979 0.346 1.943
V 9.603 -0.346 5.181
Ni 3.303 2.610 0.000
Ni 1.927 -2.610 3.238
H 3.496 1.956 2.710
H 1.648 0.370 5.470
H 3.425 0.910 4.591
H 3.024 -0.370 2.232
H 3.308 0.236 4.289
H 4.683 -0.236 1.051
H 8.340 1.956 0.528
H 4.801 -0.910 1.353
H 5.660 0.910 5.123
H 2.120 -1.956 5.948
H 5.777 0.236 5.425
H 7.153 -0.236 2.187
H 7.436 0.370 4.244
H 7.036 -0.910 1.885
H 8.812 -0.370 1.006
H 6.965 -1.956 3.765
O 2.146 3.446 5.266
O -0.372 0.405 2.766
O -1.748 -0.405 6.004
O 0.757 0.759 5.490
O 4.717 2.363 1.314
O 4.426 1.703 2.493
O 2.133 -0.759 2.252
O 6.939 3.446 4.448
O 7.119 2.363 1.923
O 7.410 1.703 0.745
O 3.050 -1.703 5.730
O 3.342 -2.363 4.552
O 3.522 -3.446 2.028
O 8.328 0.759 4.224
O 6.035 -1.703 3.983
O 5.743 -2.363 5.161
O 9.704 -0.759 0.986
O 12.208 0.405 0.471
O 10.833 -0.405 3.709
O 8.314 -3.446 1.210
```

---

6.
First-principles (PBE with a Hubbard U) data for crystalline V2P2H6PbO14 at its relaxed geometry, as listed in the Materials Project database.

Computed properties:
As for the crystal system: monoclinic. The calculation puts the energy of formation from the pure elements at -1943 meV per atom. Its MP2020-corrected energy is -0.5025 Ry per atom.

Geometry as extended XYZ:
```
50
Lattice="4.430 -4.480 0.000 4.430 4.480 0.000 -2.627 0.000 14.189" Properties=species:S:1:pos:R:3 pbc="T T T"
V 3.116 3.505 7.094
V 1.775 1.097 12.799
V 3.089 -1.097 5.705
V 4.430 -3.505 0.000
P 0.887 1.205 6.319
P -0.426 -1.205 13.413
P 5.290 1.221 6.386
P 3.976 -1.221 13.480
H 2.242 3.852 9.490
H 1.687 1.601 2.627
H 2.411 1.933 10.033
H 2.180 0.375 10.053
H 0.374 -1.601 9.721
H 3.494 -0.375 2.959
H 5.238 1.387 9.832
H 3.724 -1.933 2.939
H 5.954 0.201 3.805
H 4.640 -0.201 10.899
H 3.556 -3.852 2.396
H 6.551 -1.387 2.738
Pb 5.031 2.374 2.574
Pb 3.717 -2.374 9.668
O 0.348 2.396 12.440
O 3.116 3.653 5.462
O 2.467 2.164 2.866
O 1.713 2.162 7.183
O 0.075 0.399 7.367
O 3.041 3.401 9.144
O 1.388 -0.399 0.273
O 1.747 0.274 5.424
O 1.831 1.206 10.434
O 3.066 2.469 12.462
O 0.433 -0.274 12.519
O 4.393 1.191 0.231
O 4.414 2.120 7.268
O 3.145 -1.206 3.340
O 1.662 -2.396 5.346
O 1.153 -2.164 9.960
O 3.027 -2.162 0.089
O 4.430 0.270 5.495
O 3.080 -1.191 7.325
O 3.117 -0.270 12.590
O 5.855 0.286 2.835
O 4.541 -0.286 9.929
O 6.207 0.452 7.344
O 1.802 -3.653 12.557
O 4.380 -2.469 5.368
O 5.728 -2.120 0.174
O 7.521 -0.452 0.250
O 4.355 -3.401 2.050
```

---

7.
First-principles (PBE with a Hubbard U) data for crystalline V2P2H6PbO14 at its relaxed geometry, as listed in the Materials Project database.

Computed properties:
As for the crystal system: monoclinic. The calculation puts the energy of formation from the pure elements at -1924 meV per atom. Its MP2020-corrected energy is -0.5011 Ry per atom.

Geometry as extended XYZ:
```
50
Lattice="4.479 -4.461 0.000 4.479 4.461 0.000 -2.924 0.000 13.692" Properties=species:S:1:pos:R:3 pbc="T T T"
V 3.017 3.530 6.846
V 1.539 0.995 12.304
V 3.001 -0.995 5.459
V 4.479 -3.530 0.000
P 0.755 1.266 6.071
P -0.707 -1.266 12.917
P 5.226 1.262 6.114
P 3.764 -1.262 12.960
H 1.603 1.551 2.482
H 2.666 3.595 9.725
H 2.076 1.794 9.381
H 1.766 0.261 9.401
H 0.140 -1.551 9.328
H 3.228 -0.261 2.555
H 5.151 1.456 9.338
H 3.539 -1.794 2.535
H 6.328 0.358 3.477
H 4.865 -0.358 10.323
H 4.128 -3.595 2.879
H 6.613 -1.456 2.492
Pb 4.954 2.432 2.607
Pb 3.491 -2.432 9.453
O 0.102 2.327 11.945
O 3.066 3.656 5.220
O 1.609 2.205 6.941
O 2.436 2.088 2.715
O -0.069 0.455 7.104
O 3.145 3.403 8.906
O 1.393 -0.455 0.258
O 1.625 0.340 5.176
O 1.536 1.098 9.850
O 2.832 2.390 11.966
O 0.163 -0.340 12.022
O 4.430 1.088 0.216
O 4.329 2.139 6.991
O 2.999 -1.098 3.004
O 1.564 -2.327 5.099
O 0.974 -2.088 9.561
O 4.344 0.334 5.222
O 3.071 -2.205 0.095
O 2.968 -1.088 7.062
O 2.882 -0.334 12.068
O 5.910 0.434 2.598
O 4.447 -0.434 9.444
O 6.153 0.481 7.055
O 4.295 -2.390 5.120
O 1.604 -3.656 12.066
O 5.791 -2.139 0.145
O 7.615 -0.481 0.209
O 4.607 -3.403 2.060
```

---

8.
First-principles (PBE with a Hubbard U) data for crystalline SrV2P2H8O14 at its relaxed geometry, as listed in the Materials Project database.

Computed properties:
As for the crystal system: monoclinic. The calculation puts the energy of formation from the pure elements at -2103 meV per atom. Its MP2020-corrected energy is -0.5005 Ry per atom.

Geometry as extended XYZ:
```
54
Lattice="4.551 -4.554 0.000 4.551 4.554 0.000 -2.411 0.000 12.907" Properties=species:S:1:pos:R:3 pbc="T T T"
Sr 3.345 2.789 6.454
Sr 4.551 -2.789 0.000
V -0.558 1.006 9.062
V 0.648 -1.006 2.608
V 3.968 1.091 10.148
V 5.173 -1.091 3.695
P 1.713 3.319 9.604
P 2.949 1.264 3.175
P 1.743 -1.264 9.629
P 2.918 -3.319 3.151
H 0.590 0.668 6.492
H 2.671 3.226 12.301
H 1.795 -0.668 0.038
H 3.327 0.412 0.660
H 0.997 0.183 11.995
H 2.202 -0.183 5.542
H 2.121 -0.412 7.113
H 6.278 1.413 0.685
H 3.058 0.409 12.707
H 5.938 1.727 5.358
H 4.263 -0.409 6.254
H 5.799 1.033 6.730
H 5.072 -1.413 7.139
H 7.004 -1.033 0.276
H 3.877 -3.226 5.847
H 4.733 -1.727 11.812
O 2.583 4.155 8.622
O -0.395 0.756 6.612
O 0.902 2.380 8.655
O -0.597 0.981 10.709
O 2.144 2.167 4.175
O 0.811 -0.756 0.159
O 1.995 0.481 2.237
O 2.576 2.508 10.611
O 3.874 2.095 2.263
O 0.609 -0.981 4.255
O 0.790 -0.481 8.691
O 2.322 0.253 6.415
O 1.117 -0.253 12.869
O 3.765 0.294 4.076
O 3.933 1.256 8.517
O 2.559 -0.294 10.530
O 2.108 -2.380 2.201
O 5.688 1.901 6.289
O 0.938 -2.167 10.628
O 3.905 0.911 12.727
O 2.669 -2.095 8.716
O 5.138 -1.256 2.064
O 6.548 0.356 4.028
O 3.781 -2.508 4.157
O 5.111 -0.911 6.273
O 5.342 -0.356 10.481
O 3.789 -4.155 2.169
O 4.482 -1.901 12.743
```